Material: Rb2Be2CoO6F8
Method: DFT, GGA+U
State: optimized geometry

Symmetry   P2_1/c (14)
Calculated volume   570.2 Å³ per cell
Energy of formation from the pure elements   -161 kJ/mol of atoms

a = 6.199 Å, b = 11.647 Å, c = 8.154 Å
α = 90.00°, β = 104.43°, γ = 90.00°
Sites, in units of the cell vectors:
Rb1 0.150 0.148 0.383
Rb2 0.150 0.352 0.883
Rb3 0.850 0.648 0.117
Rb4 0.850 0.852 0.617
Be1 0.258 0.653 0.897
Be2 0.258 0.847 0.397
Be3 0.742 0.153 0.603
Be4 0.742 0.347 0.103
Co1 0.500 0.000 0.000
Co2 0.500 0.500 0.500
O1 0.232 0.563 0.509
O2 0.232 0.937 0.009
O3 0.347 0.100 0.853
O4 0.347 0.400 0.353
O5 0.458 0.106 0.148
O6 0.458 0.394 0.648
O7 0.542 0.606 0.352
O8 0.542 0.894 0.852
O9 0.653 0.600 0.647
O10 0.653 0.900 0.147
O11 0.768 0.063 0.991
O12 0.768 0.437 0.491
F1 0.103 0.746 0.415
F2 0.103 0.754 0.915
F3 0.129 0.574 0.741
F4 0.129 0.926 0.241
F5 0.294 0.573 0.053
F6 0.294 0.927 0.553
F7 0.476 0.699 0.860
F8 0.476 0.801 0.360
F9 0.524 0.199 0.640
F10 0.524 0.301 0.140
F11 0.706 0.073 0.447
F12 0.706 0.427 0.947
F13 0.871 0.074 0.759
F14 0.871 0.426 0.259
F15 0.897 0.246 0.085
F16 0.897 0.254 0.585

=====

Material: Rb2Be3Co2F12
Method: DFT, GGA+U
State: optimized geometry

Symmetry   P2_13 (198)
Calculated volume   1067.0 Å³ per cell
Energy of formation from the pure elements   -288 kJ/mol of atoms

a = 10.218 Å, b = 10.218 Å, c = 10.218 Å
α = 90.00°, β = 90.00°, γ = 90.00°
Sites, in units of the cell vectors:
Rb1 0.049 0.049 0.049
Rb2 0.185 0.315 0.685
Rb3 0.315 0.685 0.185
Rb4 0.451 0.951 0.549
Rb5 0.549 0.451 0.951
Rb6 0.685 0.185 0.315
Rb7 0.815 0.815 0.815
Rb8 0.951 0.549 0.451
Be1 0.020 0.214 0.376
Be2 0.124 0.980 0.714
Be3 0.214 0.376 0.020
Be4 0.286 0.624 0.520
Be5 0.376 0.020 0.214
Be6 0.480 0.786 0.876
Be7 0.520 0.286 0.624
Be8 0.624 0.520 0.286
Be9 0.714 0.124 0.980
Be10 0.786 0.876 0.480
Be11 0.876 0.480 0.786
Be12 0.980 0.714 0.124
Co1 0.100 0.900 0.400
Co2 0.165 0.665 0.835
Co3 0.335 0.335 0.335
Co4 0.400 0.100 0.900
Co5 0.600 0.600 0.600
Co6 0.665 0.835 0.165
Co7 0.835 0.165 0.665
Co8 0.900 0.400 0.100
F1 0.004 0.563 0.766
F2 0.014 0.068 0.330
F3 0.046 0.805 0.230
F4 0.063 0.734 0.996
F5 0.068 0.330 0.014
F6 0.097 0.836 0.757
F7 0.164 0.257 0.403
F8 0.170 0.986 0.568
F9 0.195 0.730 0.454
F10 0.230 0.046 0.805
F11 0.234 0.504 0.937
F12 0.243 0.597 0.664
F13 0.257 0.403 0.164
F14 0.266 0.496 0.437
F15 0.270 0.954 0.305
F16 0.305 0.270 0.954
F17 0.330 0.014 0.068
F18 0.336 0.743 0.903
F19 0.403 0.164 0.257
F20 0.432 0.670 0.514
F21 0.437 0.266 0.496
F22 0.454 0.195 0.730
F23 0.486 0.932 0.830
F24 0.496 0.437 0.266
F25 0.504 0.937 0.234
F26 0.514 0.432 0.670
F27 0.546 0.695 0.770
F28 0.563 0.766 0.004
F29 0.568 0.170 0.986
F30 0.597 0.664 0.243
F31 0.664 0.243 0.597
F32 0.670 0.514 0.432
F33 0.695 0.770 0.546
F34 0.730 0.454 0.195
F35 0.734 0.996 0.063
F36 0.743 0.903 0.336
F37 0.757 0.097 0.836
F38 0.766 0.004 0.563
F39 0.770 0.546 0.695
F40 0.805 0.230 0.046
F41 0.830 0.486 0.932
F42 0.836 0.757 0.097
F43 0.903 0.336 0.743
F44 0.932 0.830 0.486
F45 0.937 0.234 0.504
F46 0.954 0.305 0.270
F47 0.986 0.568 0.170
F48 0.996 0.063 0.734

=====

Material: Be3Tl2Co2F12
Method: DFT, GGA+U
State: optimized geometry

Symmetry   P2_13 (198)
Calculated volume   1112.4 Å³ per cell
Energy of formation from the pure elements   -272 kJ/mol of atoms

a = 10.361 Å, b = 10.361 Å, c = 10.361 Å
α = 90.00°, β = 90.00°, γ = 90.00°
Sites, in units of the cell vectors:
Be1 0.020 0.215 0.376
Be2 0.124 0.980 0.715
Be3 0.215 0.376 0.020
Be4 0.285 0.624 0.520
Be5 0.376 0.020 0.215
Be6 0.480 0.785 0.876
Be7 0.520 0.285 0.624
Be8 0.624 0.520 0.285
Be9 0.715 0.124 0.980
Be10 0.785 0.876 0.480
Be11 0.876 0.480 0.785
Be12 0.980 0.715 0.124
Tl1 0.049 0.049 0.049
Tl2 0.183 0.317 0.683
Tl3 0.317 0.683 0.183
Tl4 0.451 0.951 0.549
Tl5 0.549 0.451 0.951
Tl6 0.683 0.183 0.317
Tl7 0.817 0.817 0.817
Tl8 0.951 0.549 0.451
Co1 0.098 0.902 0.402
Co2 0.165 0.665 0.835
Co3 0.335 0.335 0.335
Co4 0.402 0.098 0.902
Co5 0.598 0.598 0.598
Co6 0.665 0.835 0.165
Co7 0.835 0.165 0.665
Co8 0.902 0.402 0.098
F1 0.004 0.562 0.767
F2 0.012 0.069 0.329
F3 0.045 0.806 0.230
F4 0.062 0.733 0.996
F5 0.069 0.329 0.012
F6 0.098 0.836 0.756
F7 0.164 0.256 0.402
F8 0.171 0.988 0.569
F9 0.194 0.730 0.455
F10 0.230 0.045 0.806
F11 0.233 0.504 0.938
F12 0.244 0.598 0.664
F13 0.256 0.402 0.164
F14 0.267 0.496 0.438
F15 0.270 0.955 0.306
F16 0.306 0.270 0.955
F17 0.329 0.012 0.069
F18 0.336 0.744 0.902
F19 0.402 0.164 0.256
F20 0.431 0.671 0.512
F21 0.438 0.267 0.496
F22 0.455 0.194 0.730
F23 0.488 0.931 0.829
F24 0.496 0.438 0.267
F25 0.504 0.938 0.233
F26 0.512 0.431 0.671
F27 0.545 0.694 0.770
F28 0.562 0.767 0.004
F29 0.569 0.171 0.988
F30 0.598 0.664 0.244
F31 0.664 0.244 0.598
F32 0.671 0.512 0.431
F33 0.694 0.770 0.545
F34 0.730 0.455 0.194
F35 0.733 0.996 0.062
F36 0.744 0.902 0.336
F37 0.756 0.098 0.836
F38 0.767 0.004 0.562
F39 0.770 0.545 0.694
F40 0.806 0.230 0.045
F41 0.829 0.488 0.931
F42 0.836 0.756 0.098
F43 0.902 0.336 0.744
F44 0.931 0.829 0.488
F45 0.938 0.233 0.504
F46 0.955 0.306 0.270
F47 0.988 0.569 0.171
F48 0.996 0.062 0.733

=====

Material: MgBe2Co4O8
Method: DFT, GGA+U
State: optimized geometry

Symmetry   F-43m (216)
Energy above the lowest structure with this stoichiometry   466.0 meV per atom
Calculated volume   149.4 Å³ per cell
Energy of formation from the pure elements   -121 kJ/mol of atoms

a = 5.955 Å, b = 5.955 Å, c = 5.955 Å
α = 60.00°, β = 60.00°, γ = 60.00°
Sites, in units of the cell vectors:
Mg1 0.000 0.000 0.000
Be1 0.250 0.250 0.250
Be2 0.500 0.500 0.500
Co1 0.446 0.851 0.851
Co2 0.851 0.446 0.851
Co3 0.851 0.851 0.446
Co4 0.851 0.851 0.851
O1 0.129 0.129 0.129
O2 0.129 0.129 0.613
O3 0.129 0.613 0.129
O4 0.140 0.620 0.620
O5 0.613 0.129 0.129
O6 0.620 0.140 0.620
O7 0.620 0.620 0.140
O8 0.620 0.620 0.620

=====

Material: MgBe2Co4O8
Method: DFT, GGA+U
State: optimized geometry

Symmetry   R-3m (166)
Energy above the lowest structure with this stoichiometry   0.0 meV per atom
Calculated volume   137.4 Å³ per cell
Energy of formation from the pure elements   -166 kJ/mol of atoms

a = 5.875 Å, b = 5.875 Å, c = 5.875 Å
α = 58.18°, β = 58.18°, γ = 58.18°
Sites, in units of the cell vectors:
Mg1 0.000 0.000 0.000
Be1 0.151 0.151 0.151
Be2 0.849 0.849 0.849
Co1 0.000 0.500 0.500
Co2 0.500 0.000 0.500
Co3 0.500 0.500 0.000
Co4 0.500 0.500 0.500
O1 0.227 0.752 0.752
O2 0.248 0.248 0.773
O3 0.248 0.773 0.248
O4 0.258 0.258 0.258
O5 0.742 0.742 0.742
O6 0.752 0.227 0.752
O7 0.752 0.752 0.227
O8 0.773 0.248 0.248

=====

Material: MgBe2Co4O8
Method: DFT, GGA+U
State: optimized geometry

Symmetry   Imm2 (44)
Energy above the lowest structure with this stoichiometry   49.5 meV per atom
Calculated volume   144.1 Å³ per cell
Energy of formation from the pure elements   -162 kJ/mol of atoms

a = 6.055 Å, b = 6.055 Å, c = 6.055 Å
α = 125.24°, β = 124.25°, γ = 81.96°
Sites, in units of the cell vectors:
Mg1 0.000 0.000 0.000
Be1 0.065 0.565 0.500
Be2 0.738 0.738 0.000
Co1 0.407 0.146 0.739
Co2 0.407 0.667 0.261
Co3 0.502 0.233 0.269
Co4 0.964 0.233 0.731
O1 0.105 0.861 0.244
O2 0.158 0.394 0.235
O3 0.158 0.923 0.765
O4 0.175 0.438 0.737
O5 0.617 0.861 0.756
O6 0.659 0.394 0.735
O7 0.659 0.924 0.265
O8 0.702 0.438 0.263

=====

Material: BeCrO4
Method: DFT, GGA+U
State: optimized geometry

Symmetry   P2_1/c (14)
Energy above the lowest structure with this stoichiometry   78.6 meV per atom
Calculated volume   341.8 Å³ per cell
Energy of formation from the pure elements   -191 kJ/mol of atoms

a = 8.517 Å, b = 5.279 Å, c = 8.657 Å
α = 90.00°, β = 118.60°, γ = 90.00°
Sites, in units of the cell vectors:
Be1 0.205 0.085 0.288
Be2 0.205 0.415 0.788
Be3 0.795 0.585 0.212
Be4 0.795 0.915 0.712
Cr1 0.277 0.596 0.170
Cr2 0.277 0.904 0.670
Cr3 0.723 0.096 0.330
Cr4 0.723 0.404 0.830
O1 0.170 0.627 0.650
O2 0.170 0.873 0.150
O3 0.185 0.132 0.739
O4 0.185 0.368 0.239
O5 0.258 0.515 0.974
O6 0.258 0.985 0.474
O7 0.483 0.627 0.310
O8 0.483 0.873 0.810
O9 0.517 0.127 0.190
O10 0.517 0.373 0.690
O11 0.742 0.015 0.526
O12 0.742 0.485 0.026
O13 0.815 0.632 0.761
O14 0.815 0.868 0.261
O15 0.830 0.127 0.850
O16 0.830 0.373 0.350

=====

Material: BeCrO4
Method: DFT, GGA+U
State: optimized geometry

Symmetry   C2/m (12)
Energy above the lowest structure with this stoichiometry   66.3 meV per atom
Calculated volume   278.8 Å³ per cell
Energy of formation from the pure elements   -192 kJ/mol of atoms

a = 7.165 Å, b = 7.165 Å, c = 5.721 Å
α = 102.26°, β = 102.26°, γ = 81.42°
Sites, in units of the cell vectors:
Be1 0.113 0.113 0.293
Be2 0.249 0.751 0.000
Be3 0.751 0.249 0.000
Be4 0.887 0.887 0.707
Cr1 0.238 0.762 0.500
Cr2 0.280 0.280 0.887
Cr3 0.720 0.720 0.113
Cr4 0.762 0.238 0.500
O1 0.125 0.831 0.758
O2 0.169 0.875 0.242
O3 0.185 0.185 0.596
O4 0.191 0.191 0.083
O5 0.218 0.539 0.406
O6 0.229 0.517 0.936
O7 0.461 0.782 0.594
O8 0.483 0.771 0.064
O9 0.517 0.229 0.936
O10 0.539 0.218 0.406
O11 0.771 0.483 0.064
O12 0.782 0.461 0.594
O13 0.809 0.809 0.917
O14 0.815 0.815 0.404
O15 0.831 0.125 0.758
O16 0.875 0.169 0.242

=====

Which value of energy of formation from the pure elements does entry 5 give?
-166 kJ/mol of atoms